1.
The following is a PBE calculation of Li3H24RuCl6O12 after structural relaxation, from the Materials Project database.

Properties
The value obtained for the size of the total moment is 2.00 Bohr magnetons per cell. The calculation puts the formation enthalpy at 0 K at -1.26 eV/atom. For the electronic total energy, the calculation gives -4.7044 eV per atom.

abc: 9.990 9.990 12.782
angles: 113.61 113.61 60.16
Fractional coordinates of all 92 atoms:
Li  0.164  0.665  0.494
Li  0.250  0.750  0.750
Li  0.335  0.836  0.006
Li  0.665  0.164  0.994
Li  0.750  0.250  0.250
Li  0.836  0.335  0.506
H  0.003  0.020  0.376
H  0.011  0.662  0.613
H  0.020  0.003  0.876
H  0.059  0.837  0.884
H  0.075  0.347  0.696
H  0.148  0.497  0.624
H  0.154  0.724  0.305
H  0.156  0.226  0.595
H  0.163  0.941  0.616
H  0.212  0.726  0.092
H  0.224  0.424  0.304
H  0.226  0.156  0.095
H  0.274  0.788  0.408
H  0.276  0.846  0.195
H  0.288  0.344  0.405
H  0.338  0.989  0.887
H  0.344  0.288  0.905
H  0.347  0.075  0.196
H  0.351  0.520  0.875
H  0.424  0.224  0.804
H  0.441  0.511  0.614
H  0.480  0.649  0.625
H  0.489  0.559  0.886
H  0.497  0.148  0.124
H  0.503  0.852  0.876
H  0.511  0.441  0.114
H  0.520  0.351  0.375
H  0.559  0.489  0.386
H  0.576  0.776  0.196
H  0.649  0.480  0.125
H  0.653  0.925  0.804
H  0.656  0.712  0.095
H  0.662  0.011  0.113
H  0.712  0.656  0.595
H  0.724  0.154  0.805
H  0.726  0.212  0.592
H  0.774  0.844  0.905
H  0.776  0.576  0.696
H  0.788  0.274  0.908
H  0.837  0.059  0.384
H  0.844  0.774  0.405
H  0.846  0.276  0.695
H  0.852  0.503  0.376
H  0.925  0.653  0.304
H  0.941  0.163  0.116
H  0.980  0.997  0.124
H  0.989  0.338  0.387
H  0.997  0.980  0.624
Ru  0.000  0.500  0.000
Ru  0.500  0.000  0.500
Cl  0.005  0.622  0.876
Cl  0.123  0.246  0.874
Cl  0.246  0.123  0.374
Cl  0.255  0.493  0.126
Cl  0.378  0.995  0.624
Cl  0.493  0.255  0.626
Cl  0.507  0.745  0.374
Cl  0.622  0.005  0.376
Cl  0.745  0.507  0.874
Cl  0.754  0.877  0.626
Cl  0.877  0.754  0.126
Cl  0.995  0.378  0.124
O  0.068  0.330  0.613
O  0.104  0.894  0.624
O  0.106  0.896  0.876
O  0.127  0.604  0.624
O  0.170  0.785  0.388
O  0.215  0.830  0.112
O  0.285  0.432  0.387
O  0.330  0.068  0.113
O  0.373  0.606  0.875
O  0.394  0.627  0.625
O  0.396  0.873  0.876
O  0.432  0.285  0.887
O  0.568  0.715  0.113
O  0.604  0.127  0.124
O  0.606  0.373  0.375
O  0.627  0.394  0.125
O  0.670  0.932  0.887
O  0.715  0.568  0.613
O  0.785  0.170  0.888
O  0.830  0.215  0.612
O  0.873  0.396  0.376
O  0.894  0.104  0.124
O  0.896  0.106  0.376
O  0.932  0.670  0.387

2.
The following is a PBE calculation of ErB7Mo3 after structural relaxation, from the Materials Project database.

Properties
The calculation puts the formation enthalpy at 0 K at -0.57 eV/atom. For the electronic total energy, the calculation gives -8.1893 eV per atom.

abc: 11.022 3.104 12.860
angles: 90.00 90.00 90.00
Fractional coordinates of all 44 atoms:
Er  0.052  0.250  0.192
Er  0.448  0.750  0.692
Er  0.552  0.250  0.308
Er  0.948  0.750  0.808
B  0.011  0.750  0.362
B  0.037  0.750  0.018
B  0.068  0.750  0.616
B  0.166  0.750  0.332
B  0.186  0.750  0.067
B  0.231  0.750  0.582
B  0.250  0.250  0.326
B  0.250  0.750  0.826
B  0.269  0.250  0.082
B  0.314  0.250  0.567
B  0.334  0.250  0.832
B  0.432  0.250  0.116
B  0.463  0.250  0.518
B  0.489  0.250  0.862
B  0.511  0.750  0.138
B  0.537  0.750  0.482
B  0.568  0.750  0.884
B  0.666  0.750  0.168
B  0.686  0.750  0.433
B  0.731  0.750  0.918
B  0.750  0.250  0.174
B  0.750  0.750  0.674
B  0.769  0.250  0.418
B  0.814  0.250  0.933
B  0.834  0.250  0.668
B  0.932  0.250  0.384
B  0.963  0.250  0.982
B  0.989  0.250  0.638
Mo  0.118  0.250  0.473
Mo  0.159  0.250  0.936
Mo  0.185  0.250  0.702
Mo  0.315  0.750  0.202
Mo  0.341  0.750  0.436
Mo  0.382  0.750  0.973
Mo  0.618  0.250  0.027
Mo  0.659  0.250  0.564
Mo  0.685  0.250  0.798
Mo  0.815  0.750  0.298
Mo  0.841  0.750  0.064
Mo  0.882  0.750  0.527

3.
The following is a PBE calculation of Y2Ni7 after structural relaxation, from the Materials Project database.

Properties
The value obtained for the size of the total moment is 2.62 Bohr magnetons per cell. The calculation puts the formation enthalpy at 0 K at -0.38 eV/atom. For the electronic total energy, the calculation gives -6.3139 eV per atom. Its energy above the most stable polymorph in this dataset is 0.000 eV/atom.

abc: 12.369 12.369 12.369
angles: 23.03 23.03 23.03
Fractional coordinates of all 18 atoms:
Y  0.050  0.050  0.050
Y  0.147  0.147  0.147
Y  0.853  0.853  0.853
Y  0.950  0.950  0.950
Ni  0.000  0.500  0.500
Ni  0.109  0.610  0.610
Ni  0.278  0.278  0.278
Ni  0.388  0.388  0.388
Ni  0.390  0.390  0.891
Ni  0.390  0.891  0.390
Ni  0.500  0.000  0.500
Ni  0.500  0.500  0.000
Ni  0.500  0.500  0.500
Ni  0.610  0.109  0.610
Ni  0.610  0.610  0.109
Ni  0.612  0.612  0.612
Ni  0.722  0.722  0.722
Ni  0.891  0.390  0.390

4.
The following is a PBE calculation of Na6Zr4Ta4Si9S3O48 after structural relaxation, from the Materials Project database.

Properties
The value obtained for the size of the total moment is 0.00 Bohr magnetons per cell. The calculation puts the formation enthalpy at 0 K at -3.02 eV/atom. For the electronic total energy, the calculation gives -7.8197 eV per atom.

abc: 9.002 15.661 22.950
angles: 89.91 89.98 89.93
Fractional coordinates of all 222 atoms:
Na  0.000  0.000  0.000
Na  0.000  0.329  0.325
Na  0.008  0.318  0.830
Na  0.023  0.661  0.162
Na  0.034  0.665  0.660
Na  0.037  0.997  0.495
Na  0.157  0.820  0.084
Na  0.161  0.494  0.749
Na  0.373  0.321  0.587
Na  0.376  0.992  0.239
Na  0.499  0.500  0.997
Na  0.503  0.162  0.157
Na  0.505  0.150  0.671
Na  0.524  0.818  0.324
Na  0.532  0.510  0.495
Na  0.536  0.828  0.833
Na  0.633  0.327  0.082
Na  0.904  0.826  0.582
Zr  0.009  0.659  0.519
Zr  0.009  0.663  0.810
Zr  0.012  0.653  0.014
Zr  0.029  0.990  0.137
Zr  0.036  0.319  0.685
Zr  0.038  0.998  0.642
Zr  0.501  0.499  0.142
Zr  0.507  0.495  0.640
Zr  0.513  0.817  0.181
Zr  0.518  0.147  0.512
Zr  0.529  0.161  0.307
Zr  0.531  0.158  0.019
Ta  0.004  0.657  0.306
Ta  0.007  0.989  0.842
Ta  0.020  0.326  0.472
Ta  0.024  0.321  0.972
Ta  0.025  0.992  0.353
Ta  0.030  0.320  0.188
Ta  0.508  0.820  0.689
Ta  0.510  0.493  0.854
Ta  0.514  0.820  0.471
Ta  0.532  0.490  0.342
Ta  0.533  0.827  0.977
Ta  0.534  0.156  0.808
Si  0.158  0.510  0.909
Si  0.160  0.470  0.580
Si  0.162  0.845  0.246
Si  0.164  0.134  0.247
Si  0.166  0.179  0.574
Si  0.226  0.492  0.250
Si  0.234  0.826  0.578
Si  0.305  0.327  0.078
Si  0.312  0.993  0.749
Si  0.371  0.635  0.748
Si  0.376  0.007  0.408
Si  0.376  0.678  0.073
Si  0.382  0.970  0.080
Si  0.385  0.346  0.745
Si  0.657  0.684  0.581
Si  0.662  0.639  0.243
Si  0.666  0.303  0.913
Si  0.666  0.346  0.237
Si  0.667  0.011  0.912
Si  0.716  0.660  0.912
Si  0.812  0.823  0.080
Si  0.817  0.159  0.413
Si  0.868  0.514  0.413
Si  0.873  0.803  0.413
Si  0.873  0.846  0.738
Si  0.875  0.137  0.743
Si  0.881  0.184  0.081
S  0.166  0.810  0.912
S  0.227  0.156  0.911
S  0.311  0.655  0.411
S  0.372  0.309  0.413
S  0.657  0.964  0.578
S  0.733  0.992  0.246
S  0.734  0.324  0.576
S  0.805  0.492  0.745
S  0.881  0.464  0.078
O  0.088  0.086  0.575
O  0.088  0.413  0.919
O  0.090  0.089  0.305
O  0.091  0.230  0.240
O  0.092  0.552  0.849
O  0.095  0.750  0.261
O  0.095  0.896  0.905
O  0.096  0.881  0.185
O  0.097  0.565  0.572
O  0.100  0.427  0.640
O  0.103  0.234  0.518
O  0.103  0.770  0.965
O  0.111  0.407  0.525
O  0.111  0.912  0.299
O  0.123  0.407  0.241
O  0.124  0.576  0.262
O  0.124  0.910  0.579
O  0.126  0.081  0.904
O  0.127  0.234  0.915
O  0.128  0.570  0.964
O  0.132  0.741  0.576
O  0.132  0.756  0.860
O  0.136  0.072  0.191
O  0.137  0.237  0.633
O  0.192  0.643  0.752
O  0.194  0.995  0.404
O  0.196  0.671  0.068
O  0.197  0.333  0.020
O  0.198  0.324  0.136
O  0.199  0.969  0.079
O  0.199  0.978  0.805
O  0.200  0.345  0.745
O  0.206  0.319  0.418
O  0.217  0.012  0.690
O  0.220  0.669  0.359
O  0.224  0.645  0.465
O  0.315  0.146  0.964
O  0.319  0.169  0.859
O  0.322  0.511  0.191
O  0.328  0.820  0.915
O  0.339  0.477  0.306
O  0.341  0.495  0.904
O  0.341  0.824  0.636
O  0.342  0.832  0.520
O  0.343  0.143  0.254
O  0.344  0.467  0.579
O  0.344  0.846  0.247
O  0.349  0.176  0.571
O  0.397  0.736  0.132
O  0.401  0.255  0.362
O  0.401  0.575  0.691
O  0.404  0.068  0.465
O  0.406  0.241  0.075
O  0.412  0.733  0.416
O  0.413  0.580  0.406
O  0.414  0.410  0.079
O  0.415  0.077  0.760
O  0.415  0.908  0.740
O  0.426  0.414  0.797
O  0.426  0.908  0.024
O  0.430  0.268  0.467
O  0.439  0.395  0.408
O  0.439  0.929  0.141
O  0.441  0.733  0.017
O  0.446  0.588  0.804
O  0.446  0.731  0.741
O  0.447  0.249  0.758
O  0.447  0.381  0.683
O  0.448  0.053  0.351
O  0.448  0.912  0.419
O  0.449  0.064  0.072
O  0.459  0.587  0.076
O  0.587  0.588  0.584
O  0.587  0.732  0.246
O  0.590  0.052  0.574
O  0.590  0.269  0.973
O  0.590  0.917  0.917
O  0.593  0.253  0.249
O  0.594  0.732  0.522
O  0.595  0.585  0.301
O  0.597  0.062  0.855
O  0.599  0.390  0.179
O  0.599  0.925  0.631
O  0.602  0.399  0.897
O  0.607  0.743  0.917
O  0.615  0.743  0.637
O  0.618  0.573  0.903
O  0.618  0.915  0.524
O  0.626  0.238  0.859
O  0.626  0.407  0.296
O  0.632  0.250  0.572
O  0.632  0.583  0.186
O  0.635  0.070  0.248
O  0.636  0.916  0.246
O  0.641  0.072  0.968
O  0.642  0.403  0.578
O  0.686  0.497  0.403
O  0.690  0.811  0.421
O  0.691  0.841  0.735
O  0.694  0.146  0.753
O  0.699  0.183  0.078
O  0.707  0.812  0.137
O  0.707  0.831  0.020
O  0.710  0.178  0.357
O  0.711  0.148  0.470
O  0.714  0.498  0.692
O  0.715  0.486  0.798
O  0.717  0.469  0.078
O  0.820  0.971  0.578
O  0.821  0.647  0.969
O  0.823  0.999  0.193
O  0.824  0.676  0.855
O  0.824  0.989  0.300
O  0.825  0.314  0.629
O  0.828  0.330  0.523
O  0.839  0.682  0.578
O  0.843  0.647  0.253
O  0.848  0.311  0.919
O  0.848  0.342  0.236
O  0.849  0.998  0.901
O  0.895  0.572  0.470
O  0.902  0.414  0.743
O  0.904  0.568  0.747
O  0.905  0.083  0.685
O  0.911  0.737  0.360
O  0.914  0.907  0.796
O  0.914  0.909  0.081
O  0.918  0.073  0.405
O  0.920  0.414  0.024
O  0.921  0.245  0.137
O  0.923  0.741  0.074
O  0.925  0.243  0.421
O  0.935  0.899  0.398
O  0.938  0.424  0.131
O  0.941  0.560  0.356
O  0.941  0.889  0.679
O  0.942  0.235  0.022
O  0.944  0.417  0.421
O  0.945  0.233  0.743
O  0.945  0.752  0.748
O  0.946  0.085  0.800
O  0.948  0.550  0.074
O  0.949  0.769  0.473
O  0.955  0.091  0.084

Copy entry 3 word for word.
The following is a PBE calculation of Y2Ni7 after structural relaxation, from the Materials Project database.

Properties
The value obtained for the size of the total moment is 2.62 Bohr magnetons per cell. The calculation puts the formation enthalpy at 0 K at -0.38 eV/atom. For the electronic total energy, the calculation gives -6.3139 eV per atom. Its energy above the most stable polymorph in this dataset is 0.000 eV/atom.

abc: 12.369 12.369 12.369
angles: 23.03 23.03 23.03
Fractional coordinates of all 18 atoms:
Y  0.050  0.050  0.050
Y  0.147  0.147  0.147
Y  0.853  0.853  0.853
Y  0.950  0.950  0.950
Ni  0.000  0.500  0.500
Ni  0.109  0.610  0.610
Ni  0.278  0.278  0.278
Ni  0.388  0.388  0.388
Ni  0.390  0.390  0.891
Ni  0.390  0.891  0.390
Ni  0.500  0.000  0.500
Ni  0.500  0.500  0.000
Ni  0.500  0.500  0.500
Ni  0.610  0.109  0.610
Ni  0.610  0.610  0.109
Ni  0.612  0.612  0.612
Ni  0.722  0.722  0.722
Ni  0.891  0.390  0.390